No. 1
First-principles (GGA+U) data for a geometry-optimized CrP4O12 structure, as listed in the Materials Project database.

Cell: 7.017 7.017 9.493 Å, 91.47 91.47 108.84°
Element x y z (fractional)
Cr1 0.108 0.892 0.750
Cr2 0.892 0.108 0.250
P1 0.202 0.277 0.529
P2 0.276 0.633 0.967
P3 0.277 0.202 0.029
P4 0.367 0.724 0.533
P5 0.633 0.276 0.467
P6 0.723 0.798 0.971
P7 0.724 0.367 0.033
P8 0.798 0.723 0.471
O1 0.069 0.282 0.403
O2 0.115 0.138 0.645
O3 0.129 0.657 0.854
O4 0.138 0.115 0.145
O5 0.231 0.395 0.970
O6 0.266 0.729 0.107
O7 0.271 0.734 0.393
O8 0.282 0.069 0.903
O9 0.293 0.500 0.598
O10 0.343 0.871 0.646
O11 0.395 0.231 0.470
O12 0.500 0.293 0.098
O13 0.500 0.707 0.902
O14 0.605 0.769 0.530
O15 0.657 0.129 0.354
O16 0.707 0.500 0.402
O17 0.718 0.931 0.097
O18 0.729 0.266 0.607
O19 0.734 0.271 0.893
O20 0.769 0.605 0.030
O21 0.862 0.885 0.855
O22 0.871 0.343 0.146
O23 0.885 0.862 0.355
O24 0.931 0.718 0.597

Excess energy over the best structure of this formula in the dataset, meV/atom: 29
E_form, eV/atom: -2.42

=====

No. 2
First-principles (GGA+U) data for a geometry-optimized Cr9P8O32 structure, as listed in the Materials Project database.

Cell: 8.652 8.827 9.180 Å, 103.25 110.02 100.13°
Element x y z (fractional)
Cr1 0.000 0.000 0.000
Cr2 0.000 0.500 0.500
Cr3 0.194 0.202 0.443
Cr4 0.204 0.328 0.968
Cr5 0.377 0.710 0.937
Cr6 0.500 0.000 0.500
Cr7 0.623 0.290 0.063
Cr8 0.796 0.672 0.032
Cr9 0.806 0.798 0.557
P1 0.026 0.335 0.221
P2 0.114 0.837 0.403
P3 0.374 0.064 0.161
P4 0.464 0.381 0.797
P5 0.536 0.619 0.203
P6 0.626 0.936 0.839
P7 0.886 0.163 0.597
P8 0.974 0.665 0.779
O1 0.000 0.190 0.777
O2 0.000 0.810 0.223
O3 0.006 0.725 0.470
O4 0.015 0.152 0.210
O5 0.057 0.379 0.083
O6 0.134 0.619 0.760
O7 0.153 0.017 0.506
O8 0.168 0.426 0.400
O9 0.234 0.132 0.056
O10 0.290 0.808 0.428
O11 0.327 0.879 0.082
O12 0.341 0.567 0.083
O13 0.360 0.097 0.332
O14 0.387 0.279 0.891
O15 0.401 0.530 0.786
O16 0.423 0.275 0.626
O17 0.449 0.851 0.825
O18 0.551 0.149 0.175
O19 0.577 0.725 0.374
O20 0.599 0.470 0.214
O21 0.613 0.721 0.109
O22 0.640 0.903 0.668
O23 0.659 0.433 0.917
O24 0.673 0.121 0.918
O25 0.710 0.192 0.572
O26 0.766 0.868 0.944
O27 0.832 0.574 0.600
O28 0.847 0.983 0.494
O29 0.866 0.381 0.240
O30 0.943 0.621 0.917
O31 0.985 0.848 0.790
O32 0.994 0.275 0.530

E_form, eV/atom: -2.47

=====

No. 3
First-principles (GGA+U) data for a geometry-optimized CrP3O9 structure, as listed in the Materials Project database.

Cell: 8.412 8.453 9.106 Å, 90.00 90.00 90.00°
Element x y z (fractional)
Cr1 0.125 0.097 0.137
Cr2 0.375 0.903 0.637
Cr3 0.625 0.403 0.863
Cr4 0.875 0.597 0.363
P1 0.068 0.727 0.082
P2 0.072 0.947 0.834
P3 0.215 0.561 0.555
P4 0.285 0.439 0.055
P5 0.428 0.053 0.334
P6 0.432 0.273 0.582
P7 0.568 0.773 0.918
P8 0.572 0.553 0.166
P9 0.715 0.939 0.445
P10 0.785 0.061 0.945
P11 0.928 0.447 0.666
P12 0.932 0.227 0.418
O1 0.018 0.788 0.920
O2 0.066 0.138 0.349
O3 0.100 0.526 0.696
O4 0.112 0.594 0.423
O5 0.134 0.865 0.168
O6 0.142 0.904 0.688
O7 0.155 0.328 0.099
O8 0.170 0.054 0.931
O9 0.207 0.610 0.031
O10 0.293 0.390 0.531
O11 0.330 0.946 0.431
O12 0.345 0.672 0.599
O13 0.358 0.096 0.188
O14 0.366 0.135 0.668
O15 0.388 0.406 0.923
O16 0.400 0.474 0.196
O17 0.434 0.862 0.849
O18 0.482 0.212 0.420
O19 0.518 0.712 0.080
O20 0.566 0.362 0.651
O21 0.600 0.974 0.304
O22 0.612 0.906 0.577
O23 0.634 0.635 0.832
O24 0.642 0.596 0.312
O25 0.655 0.172 0.901
O26 0.670 0.446 0.069
O27 0.707 0.890 0.969
O28 0.793 0.110 0.469
O29 0.830 0.554 0.569
O30 0.845 0.828 0.401
O31 0.858 0.404 0.812
O32 0.866 0.365 0.332
O33 0.888 0.094 0.077
O34 0.900 0.026 0.804
O35 0.934 0.638 0.151
O36 0.982 0.288 0.580

Excess energy over the best structure of this formula in the dataset, meV/atom: 41
E_form, eV/atom: -2.58

=====

No. 4
First-principles (GGA+U) data for a geometry-optimized CrPO4 structure, as listed in the Materials Project database.

Cell: 9.038 9.038 9.038 Å, 108.27 86.42 138.49°
Element x y z (fractional)
Cr1 0.000 0.000 0.000
Cr2 0.383 0.000 0.883
Cr3 0.383 0.500 0.383
Cr4 0.500 0.000 0.500
Cr5 0.617 0.000 0.117
Cr6 0.617 0.500 0.617
P1 0.176 0.000 0.676
P2 0.176 0.500 0.176
P3 0.336 0.086 0.250
P4 0.664 0.914 0.750
P5 0.824 0.000 0.324
P6 0.824 0.500 0.824
O1 0.079 0.219 0.412
O2 0.079 0.667 0.860
O3 0.113 0.962 0.151
O4 0.224 0.077 0.869
O5 0.224 0.355 0.148
O6 0.292 0.645 0.369
O7 0.292 0.923 0.648
O8 0.307 0.219 0.640
O9 0.307 0.667 0.088
O10 0.311 0.962 0.349
O11 0.479 0.107 0.127
O12 0.479 0.352 0.373
O13 0.521 0.648 0.627
O14 0.521 0.893 0.873
O15 0.689 0.038 0.651
O16 0.693 0.333 0.912
O17 0.693 0.781 0.360
O18 0.708 0.077 0.352
O19 0.708 0.355 0.631
O20 0.776 0.645 0.852
O21 0.776 0.923 0.131
O22 0.887 0.038 0.849
O23 0.921 0.333 0.140
O24 0.921 0.781 0.588

E_form, eV/atom: -2.60

=====

No. 5
First-principles (GGA+U) data for a geometry-optimized Cr2P5O15 structure, as listed in the Materials Project database.

Cell: 5.384 8.625 13.529 Å, 90.00 109.28 90.00°
Element x y z (fractional)
Cr1 0.102 0.217 0.451
Cr2 0.102 0.783 0.951
Cr3 0.898 0.217 0.049
Cr4 0.898 0.783 0.549
P1 0.000 0.446 0.250
P2 0.000 0.554 0.750
P3 0.301 0.323 0.913
P4 0.301 0.677 0.413
P5 0.463 0.013 0.860
P6 0.463 0.987 0.360
P7 0.537 0.013 0.640
P8 0.537 0.987 0.140
P9 0.699 0.323 0.587
P10 0.699 0.677 0.087
O1 0.092 0.359 0.172
O2 0.092 0.641 0.672
O3 0.097 0.326 0.965
O4 0.097 0.674 0.465
O5 0.234 0.436 0.813
O6 0.234 0.564 0.313
O7 0.267 0.033 0.557
O8 0.267 0.967 0.057
O9 0.271 0.158 0.855
O10 0.271 0.842 0.355
O11 0.304 0.130 0.361
O12 0.304 0.870 0.861
O13 0.416 0.353 0.527
O14 0.416 0.647 0.027
O15 0.500 0.027 0.750
O16 0.500 0.973 0.250
O17 0.584 0.353 0.973
O18 0.584 0.647 0.473
O19 0.696 0.130 0.139
O20 0.696 0.870 0.639
O21 0.729 0.158 0.645
O22 0.729 0.842 0.145
O23 0.733 0.033 0.943
O24 0.733 0.967 0.443
O25 0.766 0.436 0.687
O26 0.766 0.564 0.187
O27 0.903 0.326 0.535
O28 0.903 0.674 0.035
O29 0.908 0.359 0.328
O30 0.908 0.641 0.828

Excess energy over the best structure of this formula in the dataset, meV/atom: 23
E_form, eV/atom: -2.52

=====

No. 6
First-principles (GGA+U) data for a geometry-optimized CrPO4 structure, as listed in the Materials Project database.

Cell: 9.210 9.210 15.920 Å, 117.86 117.86 31.05°
Element x y z (fractional)
Cr1 0.000 0.500 0.000
Cr2 0.112 0.682 0.527
Cr3 0.178 0.822 0.750
Cr4 0.318 0.888 0.973
Cr5 0.500 0.000 0.500
Cr6 0.682 0.112 0.027
Cr7 0.822 0.178 0.250
Cr8 0.888 0.318 0.473
P1 0.016 0.556 0.643
P2 0.265 0.701 0.381
P3 0.299 0.735 0.119
P4 0.444 0.984 0.857
P5 0.556 0.016 0.143
P6 0.701 0.265 0.881
P7 0.735 0.299 0.619
P8 0.984 0.444 0.357
O1 0.063 0.831 0.289
O2 0.097 0.750 0.049
O3 0.112 0.479 0.735
O4 0.112 0.638 0.640
O5 0.150 0.300 0.554
O6 0.169 0.937 0.211
O7 0.199 0.652 0.427
O8 0.215 0.304 0.905
O9 0.250 0.903 0.451
O10 0.300 0.150 0.054
O11 0.304 0.215 0.405
O12 0.348 0.801 0.073
O13 0.362 0.888 0.860
O14 0.406 0.586 0.863
O15 0.414 0.594 0.637
O16 0.479 0.112 0.235
O17 0.521 0.888 0.765
O18 0.586 0.406 0.363
O19 0.594 0.414 0.137
O20 0.638 0.112 0.140
O21 0.652 0.199 0.927
O22 0.696 0.785 0.595
O23 0.700 0.850 0.946
O24 0.750 0.097 0.549
O25 0.785 0.696 0.095
O26 0.801 0.348 0.573
O27 0.831 0.063 0.789
O28 0.850 0.700 0.446
O29 0.888 0.362 0.360
O30 0.888 0.521 0.265
O31 0.903 0.250 0.951
O32 0.937 0.169 0.711

E_form, eV/atom: -2.38

=====

No. 7
First-principles (GGA+U) data for a geometry-optimized Cr2P3O13 structure, as listed in the Materials Project database.

Cell: 6.217 21.899 8.532 Å, 90.00 125.89 90.00°
Element x y z (fractional)
Cr1 0.055 0.064 0.281
Cr2 0.055 0.436 0.781
Cr3 0.243 0.709 0.960
Cr4 0.243 0.791 0.460
Cr5 0.757 0.209 0.540
Cr6 0.757 0.291 0.040
Cr7 0.945 0.564 0.219
Cr8 0.945 0.936 0.719
P1 0.035 0.582 0.651
P2 0.035 0.918 0.151
P3 0.142 0.204 0.416
P4 0.142 0.296 0.916
P5 0.483 0.101 0.207
P6 0.483 0.399 0.707
P7 0.517 0.601 0.293
P8 0.517 0.899 0.793
P9 0.858 0.704 0.084
P10 0.858 0.796 0.584
P11 0.965 0.082 0.849
P12 0.965 0.418 0.349
O1 0.009 0.738 0.697
O2 0.009 0.762 0.197
O3 0.019 0.020 0.794
O4 0.019 0.480 0.294
O5 0.058 0.151 0.268
O6 0.058 0.349 0.768
O7 0.072 0.189 0.559
O8 0.072 0.311 0.059
O9 0.143 0.574 0.531
O10 0.143 0.926 0.031
O11 0.199 0.623 0.826
O12 0.199 0.877 0.326
O13 0.210 0.057 0.508
O14 0.210 0.443 0.008
O15 0.255 0.114 0.984
O16 0.255 0.386 0.484
O17 0.295 0.725 0.555
O18 0.295 0.775 0.055
O19 0.298 0.567 0.285
O20 0.298 0.933 0.785
O21 0.367 0.059 0.285
O22 0.367 0.441 0.785
O23 0.440 0.664 0.201
O24 0.440 0.836 0.701
O25 0.445 0.213 0.541
O26 0.445 0.287 0.041
O27 0.555 0.713 0.959
O28 0.555 0.787 0.459
O29 0.560 0.164 0.299
O30 0.560 0.336 0.799
O31 0.633 0.559 0.215
O32 0.633 0.941 0.715
O33 0.702 0.067 0.215
O34 0.702 0.433 0.715
O35 0.705 0.225 0.945
O36 0.705 0.275 0.445
O37 0.745 0.614 0.516
O38 0.745 0.886 0.016
O39 0.790 0.557 0.992
O40 0.790 0.943 0.492
O41 0.801 0.123 0.674
O42 0.801 0.377 0.174
O43 0.857 0.074 0.969
O44 0.857 0.426 0.469
O45 0.928 0.689 0.941
O46 0.928 0.811 0.441
O47 0.942 0.651 0.232
O48 0.942 0.849 0.732
O49 0.981 0.520 0.706
O50 0.981 0.980 0.206
O51 0.991 0.238 0.803
O52 0.991 0.262 0.303

E_form, eV/atom: -2.15

=====

No. 8
First-principles (GGA+U) data for a geometry-optimized CrPO5 structure, as listed in the Materials Project database.

Cell: 8.129 6.091 7.157 Å, 90.00 90.00 90.00°
Element x y z (fractional)
Cr1 0.186 0.250 0.208
Cr2 0.314 0.750 0.708
Cr3 0.686 0.250 0.292
Cr4 0.814 0.750 0.792
P1 0.122 0.750 0.104
P2 0.378 0.250 0.604
P3 0.622 0.750 0.396
P4 0.878 0.250 0.896
O1 0.045 0.250 0.997
O2 0.135 0.550 0.239
O3 0.135 0.950 0.239
O4 0.136 0.750 0.623
O5 0.232 0.250 0.466
O6 0.268 0.750 0.966
O7 0.364 0.250 0.123
O8 0.365 0.050 0.739
O9 0.365 0.450 0.739
O10 0.455 0.750 0.497
O11 0.545 0.250 0.503
O12 0.635 0.550 0.261
O13 0.635 0.950 0.261
O14 0.636 0.750 0.877
O15 0.732 0.250 0.034
O16 0.768 0.750 0.534
O17 0.864 0.250 0.377
O18 0.865 0.050 0.761
O19 0.865 0.450 0.761
O20 0.955 0.750 0.003

Excess energy over the best structure of this formula in the dataset, meV/atom: 5
E_form, eV/atom: -2.18